YB2Pd2C: relaxed, GGA-PBE.

abc: 3.7903 3.7903 10.7592
angles: 90.00 90.00 90.00
Last column: nearest neighbours and their distance in Å.
Space group I4/mmm (No. 139)
One atom of each set of equivalent atoms:
Y  0.0000  0.0000  0.0000 (multiplicity 2)  4 C 2.68
B  0.0000  0.0000  0.3628 (multiplicity 4)  1 C 1.48
Pd  0.0000  0.5000  0.2500 (multiplicity 4)  4 B 2.25
C  0.0000  0.0000  0.5000 (multiplicity 2)  2 B 1.48

Output
- M_tot (μB per formula unit) = 0.00
- crystal system = tetragonal
- formation enthalpy at 0 K (eV/atom) = -0.494

La2CdTe4: relaxed, GGA-PBE.

abc: 9.4851 9.4851 10.1220
angles: 90.00 90.00 90.00
Last column: nearest neighbours and their distance in Å.
Space group I-42d (No. 122)
One atom of each set of equivalent atoms:
La  0.1313  0.7500  0.1250 (multiplicity 8)  6 Te 3.17-3.43
Cd  0.0000  0.0000  0.5000 (multiplicity 4)  4 Te 3.02
Te  0.0703  0.6958  0.4411 (multiplicity 16)  1 Cd 3.02, 2 La 3.17-3.29

Output
- M_tot (μB per formula unit) = 0.00
- crystal system = tetragonal
- formation enthalpy at 0 K (eV/atom) = -1.401
- total energy after the MP2020 corrections (eV per atom) = -4.739

MgCuGe2O6: relaxed, GGA-PBE.

abc: 9.7380 9.2241 5.3827
angles: 90.00 101.23 90.00
Last column: nearest neighbours and their distance in Å.
Space group P2_1/c (No. 14)
One atom of each set of equivalent atoms:
Mg  0.2465  0.0076  0.4402 (multiplicity 4)  4 O 2.02-2.14
Cu  0.2418  0.6492  0.4508 (multiplicity 4)  4 O 1.97-2.14
Ge  0.0580  0.1596  0.8419 (multiplicity 4)  4 O 1.73-1.83
Ge  0.4649  0.1567  0.2345 (multiplicity 4)  4 O 1.73-1.81
O  0.1116  0.1803  0.1837 (multiplicity 4)  2 Ge 1.82-1.83
O  0.1271  0.6497  0.7199 (multiplicity 4)  1 Ge 1.77
O  0.1420  0.0160  0.7285 (multiplicity 4)  1 Ge 1.73
O  0.3495  0.6623  0.1769 (multiplicity 4)  1 Ge 1.78, 1 Cu 1.97
O  0.3851  0.5119  0.6971 (multiplicity 4)  1 Ge 1.73
O  0.3911  0.2129  0.5018 (multiplicity 4)  2 Ge 1.78-1.81

Output
- E above lowest polymorph (meV/atom) = 0
- M_tot (μB per formula unit) = 1.00
- crystal system = monoclinic
- formation enthalpy at 0 K (eV/atom) = -2.032
- total energy after the MP2020 corrections (eV per atom) = -6.495

LaCeF6: relaxed, GGA-PBE.

abc: 7.4212 4.0858 7.3634
angles: 90.00 90.00 90.00
Last column: nearest neighbours and their distance in Å.
Space group Amm2 (No. 38)
One atom of each set of equivalent atoms:
La  0.0000  0.0000  0.0000 (multiplicity 2)  5 F 2.40-2.45
Ce  0.5000  0.0000  0.3426 (multiplicity 2)  9 F 2.40-2.68
F  0.0000  0.0000  0.6699 (multiplicity 2)  3 La 2.40-2.43
F  0.1726  0.0000  0.3372 (multiplicity 4)  1 Ce 2.43, 5 F 2.56-2.71, 2 La 2.69
F  0.3297  0.0000  0.0026 (multiplicity 4)  1 La 2.45, 6 F 2.53-2.73, 2 Ce 2.68
F  0.5000  0.0000  0.6712 (multiplicity 2)  3 Ce 2.40-2.42

Output
- M_tot (μB per formula unit) = 1.00
- crystal system = orthorhombic
- formation enthalpy at 0 K (eV/atom) = -4.371
- total energy after the MP2020 corrections (eV per atom) = -7.165

Er4Si3O11F2: relaxed, GGA-PBE.

abc: 6.4909 6.6208 13.2861
angles: 87.66 85.89 60.86
Last column: nearest neighbours and their distance in Å.
Space group P-1 (No. 2)
One atom of each set of equivalent atoms:
Er  0.0609  0.2255  0.4737 (multiplicity 2)  6 O 2.20-2.42, 1 F 2.24
Er  0.1782  0.1924  0.1710 (multiplicity 2)  5 O 2.22-2.37, 2 F 2.23-2.40
Er  0.2190  0.7131  0.0286 (multiplicity 2)  6 O 2.23-2.39, 1 F 2.33
Er  0.3250  0.8791  0.7033 (multiplicity 2)  4 O 2.25-2.35, 2 F 2.35
Si  0.2318  0.6532  0.2831 (multiplicity 2)  4 O 1.64-1.67
Si  0.2673  0.2308  0.9209 (multiplicity 2)  4 O 1.63-1.70
Si  0.4924  0.7515  0.4351 (multiplicity 2)  4 O 1.63-1.67
O  0.0108  0.2140  0.6449 (multiplicity 2)  1 Si 1.64
O  0.0123  0.4400  0.8878 (multiplicity 2)  1 Si 1.63
O  0.1730  0.0936  0.0079 (multiplicity 2)  1 Si 1.70
O  0.2034  0.8238  0.1862 (multiplicity 2)  1 Si 1.64
O  0.2489  0.4059  0.5189 (multiplicity 2)  1 Si 1.63
O  0.2646  0.8374  0.5206 (multiplicity 2)  1 Si 1.67
O  0.3122  0.3865  0.2535 (multiplicity 2)  1 Si 1.64
O  0.4074  0.3412  0.9790 (multiplicity 2)  1 Si 1.66
O  0.4228  0.0458  0.8316 (multiplicity 2)  1 Si 1.63
O  0.4441  0.0022  0.3874 (multiplicity 2)  1 Si 1.64
O  0.4669  0.5962  0.3475 (multiplicity 2)  2 Si 1.65-1.67
F  0.0355  0.7693  0.6851 (multiplicity 2)  3 Er 2.23-2.35
F  0.2051  0.7589  0.8544 (multiplicity 2)  3 Er 2.33-2.40, 1 F 2.56

Output
- M_tot (μB per formula unit) = 0.00
- crystal system = triclinic
- formation enthalpy at 0 K (eV/atom) = -3.818
- total energy after the MP2020 corrections (eV per atom) = -8.458

PmCd3: relaxed, GGA-PBE.

abc: 7.2978 7.2978 7.2978
angles: 90.00 90.00 90.00
Last column: nearest neighbours and their distance in Å.
Space group Fm-3m (No. 225)
One atom of each set of equivalent atoms:
Pm  0.0000  0.0000  0.0000 (multiplicity 4)  8 Cd 3.16
Cd  0.0000  0.0000  0.5000 (multiplicity 4)  8 Cd 3.16
Cd  0.2500  0.2500  0.2500 (multiplicity 8)  4 Pm 3.16, 4 Cd 3.16

Output
- crystal system = cubic
- formation enthalpy at 0 K (eV/atom) = -0.304

NaCuF3: relaxed, GGA-PBE.

abc: 5.4600 5.6338 8.0158
angles: 89.29 87.61 86.30
Last column: nearest neighbours and their distance in Å.
Space group P-1 (No. 2)
One atom of each set of equivalent atoms:
Na  0.0083  0.0546  0.2602 (multiplicity 2)  4 F 2.29-2.34
Na  0.4740  0.5597  0.2419 (multiplicity 2)  6 F 2.31-2.51
Cu  0.0000  0.5000  0.0000 (multiplicity 1)  4 F 1.91-1.99
Cu  0.0000  0.5000  0.5000 (multiplicity 1)  4 F 1.91-1.98
Cu  0.5000  0.0000  0.0000 (multiplicity 1)  4 F 1.91-1.98
Cu  0.5000  0.0000  0.5000 (multiplicity 1)  4 F 1.91-2.00
F  0.1093  0.5419  0.7729 (multiplicity 2)  1 Cu 1.91
F  0.1795  0.7736  0.4463 (multiplicity 2)  1 Cu 1.91
F  0.2233  0.8225  0.0625 (multiplicity 2)  1 Cu 1.91
F  0.2943  0.2921  0.4369 (multiplicity 2)  2 Cu 1.98-2.00
F  0.3035  0.3013  0.0472 (multiplicity 2)  2 Cu 1.98-1.99
F  0.3938  0.0421  0.7281 (multiplicity 2)  1 Cu 1.91

Output
- crystal system = triclinic
- formation enthalpy at 0 K (eV/atom) = -2.307
- total energy after the MP2020 corrections (eV per atom) = -4.540

DyCd: relaxed, GGA-PBE.

abc: 3.7512 3.7512 3.7512
angles: 90.00 90.00 90.00
Last column: nearest neighbours and their distance in Å.
Space group Pm-3m (No. 221)
One atom of each set of equivalent atoms:
Dy  0.0000  0.0000  0.0000 (multiplicity 1)  8 Cd 3.25
Cd  0.5000  0.5000  0.5000 (multiplicity 1)  8 Dy 3.25

Output
- crystal system = cubic
- formation enthalpy at 0 K (eV/atom) = -0.318

SmInPt: relaxed, GGA-PBE.

abc: 8.6270 8.6270 3.8253
angles: 90.00 90.00 120.00
Last column: nearest neighbours and their distance in Å.
Space group P-62m (No. 189)
One atom of each set of equivalent atoms:
Sm  0.0000  0.6255  0.0000 (multiplicity 3)  2 Pt 2.72
In  0.0000  0.2509  0.5000 (multiplicity 3)  2 Pt 2.89
Pt  0.0000  0.0000  0.0000 (multiplicity 1)  6 In 2.89, 3 Sm 3.23
Pt  0.3333  0.6667  0.0000 (multiplicity 2)  3 Sm 2.72

Output
- M_tot (μB per formula unit) = 0.03
- crystal system = hexagonal
- formation enthalpy at 0 K (eV/atom) = -0.314

Dy2Fe17: relaxed, GGA-PBE.

abc: 8.4913 14.7342 8.2544
angles: 90.00 90.00 90.00
Last column: nearest neighbours and their distance in Å.
Space group Cmcm (No. 63)
One atom of each set of equivalent atoms:
Dy  0.0000  0.0000  0.2500 (multiplicity 4)  18 Fe 2.97-3.28
Dy  0.0000  0.3332  0.2500 (multiplicity 4)  20 Fe 2.94-3.21
Fe  0.0000  0.1661  0.0141 (multiplicity 8)  9 Fe 2.45-2.66
Fe  0.0000  0.3333  0.6068 (multiplicity 8)  4 Fe 2.36-2.61
Fe  0.0000  0.5000  0.0000 (multiplicity 4)  10 Fe 2.45-2.61
Fe  0.1457  0.1838  0.7500 (multiplicity 8)  8 Fe 2.45-2.60
Fe  0.1516  0.4809  0.7500 (multiplicity 8)  8 Fe 2.45-2.60
Fe  0.2026  0.1647  0.2500 (multiplicity 8)  8 Fe 2.45-2.60
Fe  0.2491  0.0831  0.5140 (multiplicity 16)  9 Fe 2.45-2.66
Fe  0.2500  0.2500  0.0000 (multiplicity 8)  10 Fe 2.45-2.61

Output
- M_tot (μB per formula unit) = 39.18
- crystal system = orthorhombic
- formation enthalpy at 0 K (eV/atom) = -0.010

Na6Zn3P4H6O19: relaxed, GGA-PBE.

abc: 12.0814 12.0814 12.0814
angles: 90.00 90.00 90.00
Last column: nearest neighbours and their distance in Å.
Space group P2_13 (No. 198)
One atom of each set of equivalent atoms:
Na  0.0060  0.2519  0.6724 (multiplicity 12)  6 O 2.34-2.61, 1 H 2.60
Na  0.0098  0.7404  0.4237 (multiplicity 12)  6 O 2.45-2.55, 2 H 2.63-2.74
Zn  0.0024  0.2425  0.3750 (multiplicity 12)  4 O 1.93-2.02
P  0.0183  0.5183  0.9817 (multiplicity 4)  4 O 1.52-1.57
P  0.0310  0.4690  0.5310 (multiplicity 4)  4 O 1.52-1.57
P  0.2186  0.7814  0.2814 (multiplicity 4)  4 O 1.52-1.57
P  0.2312  0.2312  0.2312 (multiplicity 4)  4 O 1.52-1.58
H  0.0485  0.3238  0.8840 (multiplicity 12)  1 O 0.99
H  0.0759  0.7952  0.6333 (multiplicity 12)  1 O 0.99
O  0.0019  0.7600  0.6268 (multiplicity 12)  2 H 0.99
O  0.0156  0.9497  0.8490 (multiplicity 12)  1 P 1.57
O  0.0418  0.0418  0.0418 (multiplicity 4)  1 P 1.52
O  0.0486  0.0715  0.6165 (multiplicity 12)  1 P 1.57
O  0.0542  0.9458  0.4458 (multiplicity 4)  1 P 1.52
O  0.0944  0.7868  0.2437 (multiplicity 12)  1 P 1.57
O  0.1353  0.1747  0.2991 (multiplicity 12)  1 P 1.58
O  0.1959  0.6959  0.8041 (multiplicity 4)  1 P 1.52
O  0.2087  0.2913  0.7087 (multiplicity 4)  1 P 1.52

Output
- M_tot (μB per formula unit) = 0.00
- crystal system = cubic
- formation enthalpy at 0 K (eV/atom) = -2.203
- total energy after the MP2020 corrections (eV per atom) = -6.090

formation enthalpy at 0 K of number 3 (MgCuGe2O6)? -2.032 eV/atom

What did the first record say?
YB2Pd2C: relaxed, GGA-PBE.

abc: 3.7903 3.7903 10.7592
angles: 90.00 90.00 90.00
Last column: nearest neighbours and their distance in Å.
Space group I4/mmm (No. 139)
One atom of each set of equivalent atoms:
Y  0.0000  0.0000  0.0000 (multiplicity 2)  4 C 2.68
B  0.0000  0.0000  0.3628 (multiplicity 4)  1 C 1.48
Pd  0.0000  0.5000  0.2500 (multiplicity 4)  4 B 2.25
C  0.0000  0.0000  0.5000 (multiplicity 2)  2 B 1.48

Output
- M_tot (μB per formula unit) = 0.00
- crystal system = tetragonal
- formation enthalpy at 0 K (eV/atom) = -0.494

formation enthalpy at 0 K of number 6 (PmCd3)? -0.304 eV/atom

Look up the formation enthalpy at 0 K of the third one. -2.032 eV/atom